[1]
Entry from the Materials Project database: crystalline Li2FeF4 at its relaxed geometry (PBE+U).

Cell: 9.4687 2.8891 10.2680 Å, 90.00 90.00 90.00°
Fractional positions:
Li 0.0621 0.2500 0.1217
Li 0.0805 0.2500 0.6027
Li 0.4195 0.7500 0.1027
Li 0.4379 0.7500 0.6217
Li 0.5621 0.2500 0.3783
Li 0.5805 0.2500 0.8973
Li 0.9195 0.7500 0.3973
Li 0.9379 0.7500 0.8783
Fe 0.2396 0.7500 0.8429
Fe 0.2604 0.2500 0.3429
Fe 0.7396 0.7500 0.6571
Fe 0.7604 0.2500 0.1571
F 0.0613 0.7500 0.7235
F 0.1013 0.2500 0.9367
F 0.1258 0.7500 0.4537
F 0.1949 0.7500 0.1932
F 0.3051 0.2500 0.6932
F 0.3742 0.2500 0.9537
F 0.3987 0.7500 0.4367
F 0.4387 0.2500 0.2235
F 0.5613 0.7500 0.7765
F 0.6013 0.2500 0.5633
F 0.6258 0.7500 0.0463
F 0.6949 0.7500 0.3068
F 0.8051 0.2500 0.8068
F 0.8742 0.2500 0.5463
F 0.8987 0.7500 0.0633
F 0.9387 0.2500 0.2765

Calculated values
offset from the most stable computed form = 0.0549 eV/atom
MP2020-corrected energy = -5.69 eV/atom

[2]
Entry from the Materials Project database: crystalline Tl3Co3O8 at its relaxed geometry (PBE+U).

Cell: 5.5573 5.5988 11.3973 Å, 90.05 90.03 92.63°
Fractional positions:
Tl 0.0000 0.0000 0.0000
Tl 0.0025 0.0002 0.6441
Tl 0.4086 0.5146 0.3224
Tl 0.4964 0.5295 0.0004
Tl 0.4989 0.5293 0.6441
Tl 0.9065 0.9965 0.3224
Co 0.0055 0.4635 0.8221
Co 0.4526 0.0161 0.1517
Co 0.4542 0.0157 0.4922
Co 0.5037 0.0637 0.8223
Co 0.9488 0.5046 0.1512
Co 0.9508 0.5041 0.4930
O 0.0206 0.3993 0.3220
O 0.1497 0.8377 0.1854
O 0.1522 0.8364 0.4594
O 0.2372 0.3069 0.0999
O 0.2419 0.3070 0.5426
O 0.3554 0.3852 0.8219
O 0.3936 0.9069 0.9686
O 0.3947 0.9069 0.6755
O 0.5203 0.1250 0.3220
O 0.6399 0.7053 0.1874
O 0.6440 0.7055 0.4557
O 0.7322 0.1994 0.1027
O 0.7345 0.1978 0.5411
O 0.8592 0.1307 0.8217
O 0.8924 0.6126 0.9678
O 0.8938 0.6120 0.6759

Calculated values
offset from the most stable computed form = 0.0427 eV/atom
MP2020-corrected energy = -5.93 eV/atom

[3]
Entry from the Materials Project database: crystalline K2RbEuV2O8 at its relaxed geometry (PBE+U).

Cell: 6.1186 6.1186 7.9123 Å, 90.00 90.00 120.00°
Fractional positions:
K 0.3333 0.6667 0.2027
K 0.6667 0.3333 0.7973
Rb 0.0000 0.0000 0.5000
Eu 0.0000 0.0000 0.0000
V 0.3333 0.6667 0.7497
V 0.6667 0.3333 0.2503
O 0.1766 0.3533 0.8251
O 0.1766 0.8234 0.8251
O 0.3333 0.6667 0.5359
O 0.3533 0.1766 0.1749
O 0.6467 0.8234 0.8251
O 0.6667 0.3333 0.4641
O 0.8234 0.1766 0.1749
O 0.8234 0.6467 0.1749

Calculated values
MP2020-corrected energy = -7.65 eV/atom

[4]
Entry from the Materials Project database: crystalline HoCr2O6 at its relaxed geometry (PBE+U).

Cell: 7.4414 5.4532 5.1184 Å, 90.00 90.00 90.00°
Fractional positions:
Ho 0.0000 0.1620 0.0000
Ho 0.5000 0.8380 0.5000
Cr 0.2442 0.7206 0.0068
Cr 0.2558 0.2794 0.5068
Cr 0.7442 0.2794 0.5068
Cr 0.7558 0.7206 0.0068
O 0.0000 0.2780 0.5782
O 0.0000 0.7605 0.8983
O 0.1948 0.4392 0.1777
O 0.2117 0.9563 0.2618
O 0.2883 0.0437 0.7618
O 0.3052 0.5608 0.6777
O 0.5000 0.2395 0.3983
O 0.5000 0.7220 0.0782
O 0.6948 0.5608 0.6777
O 0.7117 0.0437 0.7618
O 0.7883 0.9563 0.2618
O 0.8052 0.4392 0.1777

Calculated values
MP2020-corrected energy = -8.29 eV/atom

[5]
Entry from the Materials Project database: crystalline Li4Co2Ni3O10 at its relaxed geometry (PBE+U).

Cell: 5.8081 2.8686 20.6605 Å, 90.00 97.21 90.00°
Fractional positions:
Li 0.0000 0.0000 0.0000
Li 0.0000 0.5000 0.5000
Li 0.2004 0.0000 0.3994
Li 0.3872 0.0000 0.8065
Li 0.4015 0.5000 0.2974
Li 0.5985 0.5000 0.7026
Li 0.6128 0.0000 0.1935
Li 0.7996 0.0000 0.6006
Co 0.3013 0.5000 0.0981
Co 0.5000 0.0000 0.0000
Co 0.5000 0.5000 0.5000
Co 0.6987 0.5000 0.9019
Ni 0.0971 0.5000 0.7002
Ni 0.0985 0.0000 0.1978
Ni 0.3004 0.0000 0.6005
Ni 0.6996 0.0000 0.3995
Ni 0.9015 0.0000 0.8022
Ni 0.9029 0.5000 0.2998
O 0.0682 0.5000 0.6067
O 0.0895 0.0000 0.0987
O 0.1286 0.5000 0.7910
O 0.1369 0.0000 0.3000
O 0.2730 0.0000 0.4998
O 0.2808 0.5000 0.0067
O 0.3318 0.0000 0.7008
O 0.3347 0.5000 0.1911
O 0.4699 0.5000 0.4070
O 0.4840 0.0000 0.9061
O 0.5160 0.0000 0.0939
O 0.5301 0.5000 0.5930
O 0.6653 0.5000 0.8089
O 0.6682 0.0000 0.2992
O 0.7192 0.5000 0.9933
O 0.7270 0.0000 0.5002
O 0.8631 0.0000 0.7000
O 0.8714 0.5000 0.2090
O 0.9105 0.0000 0.9013
O 0.9318 0.5000 0.3933

Calculated values
offset from the most stable computed form = 0.0133 eV/atom
MP2020-corrected energy = -6.11 eV/atom

[6]
Entry from the Materials Project database: crystalline Ba2YCo2F11 at its relaxed geometry (PBE+U).

Cell: 7.9227 7.9227 13.6097 Å, 90.00 90.00 120.00°
Fractional positions:
Ba 0.0238 0.1658 0.0000
Ba 0.1420 0.9762 0.3333
Ba 0.2197 0.5190 0.5090
Ba 0.2992 0.7803 0.8423
Ba 0.4810 0.7008 0.1756
Ba 0.8342 0.8580 0.6667
Y 0.5432 0.2028 0.0728
Y 0.6596 0.4568 0.4062
Y 0.7972 0.3404 0.7395
Co 0.0326 0.7059 0.0620
Co 0.2941 0.3267 0.7286
Co 0.4487 0.0706 0.5670
Co 0.6219 0.5513 0.9004
Co 0.6733 0.9674 0.3953
Co 0.9294 0.3781 0.2337
F 0.0003 0.2510 0.6688
F 0.0103 0.6406 0.7049
F 0.0970 0.6661 0.2039
F 0.1377 0.3195 0.1873
F 0.1697 0.0533 0.7763
F 0.1819 0.8623 0.5207
F 0.2355 0.6368 0.0231
F 0.2507 0.9997 0.0022
F 0.3339 0.4309 0.8706
F 0.3349 0.2464 0.5910
F 0.3594 0.3697 0.3715
F 0.3632 0.5987 0.6897
F 0.3729 0.0237 0.1900
F 0.4013 0.7645 0.3564
F 0.5033 0.4555 0.0440
F 0.5188 0.1350 0.4141
F 0.5445 0.0478 0.7107
F 0.5691 0.9030 0.5372
F 0.6074 0.2729 0.9031
F 0.6162 0.4812 0.7474
F 0.6303 0.9897 0.0382
F 0.6508 0.6271 0.5234
F 0.6655 0.3926 0.2365
F 0.6805 0.8181 0.8540
F 0.7271 0.3345 0.5698
F 0.7490 0.7493 0.3355
F 0.7536 0.0885 0.2577
F 0.8650 0.3838 0.0808
F 0.8836 0.8303 0.1097
F 0.9115 0.6651 0.9243
F 0.9467 0.1164 0.4430
F 0.9522 0.4967 0.3774
F 0.9763 0.3492 0.8567

Calculated values
MP2020-corrected energy = -6.35 eV/atom

[7]
Entry from the Materials Project database: crystalline MoO3 at its relaxed geometry (PBE+U).

Cell: 7.4359 5.3982 5.5669 Å, 90.00 101.78 90.00°
Fractional positions:
Mo 0.0000 0.2268 0.0000
Mo 0.0000 0.7732 0.5000
Mo 0.5201 0.2481 0.1605
Mo 0.5201 0.7519 0.6605
O 0.2531 0.1928 0.0718
O 0.2531 0.8072 0.5718
O 0.5000 0.4851 0.3901
O 0.5000 0.5149 0.8901
O 0.5676 0.0188 0.9263
O 0.5676 0.9812 0.4263
O 0.8101 0.3938 0.1680
O 0.8101 0.6062 0.6680
O 0.9577 0.0639 0.7071
O 0.9577 0.9361 0.2071
O 0.9909 0.4286 0.3436
O 0.9909 0.5714 0.8436

Calculated values
MP2020-corrected energy = -7.85 eV/atom

[8]
Entry from the Materials Project database: crystalline VGe2O6 at its relaxed geometry (PBE+U).

Cell: 6.7537 7.5544 9.8305 Å, 101.10 103.46 94.94°
Fractional positions:
V 0.1018 0.3242 0.4256
V 0.1018 0.8246 0.9265
V 0.8982 0.1754 0.0735
V 0.8982 0.6758 0.5744
Ge 0.2087 0.0572 0.6734
Ge 0.2093 0.5573 0.1738
Ge 0.3840 0.2202 0.0109
Ge 0.3838 0.7202 0.5110
Ge 0.6162 0.2798 0.4890
Ge 0.6160 0.7798 0.9891
Ge 0.7907 0.4427 0.8262
Ge 0.7913 0.9428 0.3266
O 0.0387 0.3950 0.2195
O 0.0388 0.8946 0.7197
O 0.0788 0.1935 0.5645
O 0.0796 0.6936 0.0648
O 0.1755 0.0764 0.0377
O 0.1753 0.5764 0.5375
O 0.3464 0.2164 0.8280
O 0.3477 0.7162 0.3282
O 0.3711 0.3310 0.4101
O 0.3713 0.8308 0.9104
O 0.3881 0.4459 0.0986
O 0.3877 0.9459 0.5986
O 0.6123 0.0541 0.4014
O 0.6119 0.5541 0.9014
O 0.6287 0.1692 0.0896
O 0.6289 0.6690 0.5899
O 0.6523 0.2838 0.6718
O 0.6536 0.7836 0.1720
O 0.8247 0.4236 0.4625
O 0.8245 0.9236 0.9623
O 0.9204 0.3064 0.9352
O 0.9212 0.8065 0.4355
O 0.9612 0.1054 0.2803
O 0.9613 0.6050 0.7805

Calculated values
offset from the most stable computed form = 0.0000 eV/atom
MP2020-corrected energy = -7.50 eV/atom

[9]
Entry from the Materials Project database: crystalline V3H8C2NO7 at its relaxed geometry (PBE+U).

Cell: 7.9246 6.7544 8.7443 Å, 90.00 98.91 90.00°
Fractional positions:
V 0.0152 0.0000 0.4277
V 0.2889 0.2230 0.6521
V 0.3814 0.7270 0.5676
V 0.6186 0.2270 0.4324
V 0.7111 0.7230 0.3479
V 0.9848 0.5000 0.5723
H 0.0260 0.4989 0.0181
H 0.0881 0.6309 0.1957
H 0.1321 0.3693 0.1861
H 0.1904 0.7549 0.8980
H 0.2722 0.8664 0.0816
H 0.3144 0.4432 0.9973
H 0.3834 0.5474 0.1686
H 0.4165 0.7703 0.9599
H 0.5835 0.2703 0.0401
H 0.6166 0.0474 0.8314
H 0.6856 0.9432 0.0027
H 0.7278 0.3664 0.9184
H 0.8096 0.2549 0.1020
H 0.8679 0.8693 0.8139
H 0.9119 0.1309 0.8043
H 0.9740 0.9989 0.9819
C 0.1212 0.5097 0.1227
C 0.2926 0.7519 0.9977
C 0.7074 0.2519 0.0023
C 0.8788 0.0097 0.8773
N 0.2889 0.5543 0.0731
N 0.7111 0.0543 0.9269
O 0.0439 0.2228 0.5692
O 0.0546 0.0597 0.2545
O 0.2477 0.9470 0.5606
O 0.2485 0.5090 0.5883
O 0.3151 0.2214 0.8435
O 0.4695 0.2477 0.2811
O 0.4786 0.7140 0.4018
O 0.5214 0.2140 0.5982
O 0.5305 0.7477 0.7189
O 0.6849 0.7214 0.1565
O 0.7515 0.0091 0.4117
O 0.7523 0.4470 0.4394
O 0.9454 0.5597 0.7455
O 0.9561 0.7228 0.4308

Calculated values
MP2020-corrected energy = -6.79 eV/atom

[10]
Entry from the Materials Project database: crystalline Ag2Te4MoO12 at its relaxed geometry (PBE+U).

Cell: 9.4049 9.4049 11.5871 Å, 103.84 103.84 36.70°
Fractional positions:
Ag 0.0054 0.5659 0.7297
Ag 0.4341 0.9946 0.7703
Ag 0.5659 0.0054 0.2297
Ag 0.9946 0.4341 0.2703
Te 0.1285 0.6869 0.4044
Te 0.1739 0.5145 0.0695
Te 0.3131 0.8715 0.0956
Te 0.4855 0.8261 0.4305
Te 0.5145 0.1739 0.5695
Te 0.6869 0.1285 0.9044
Te 0.8261 0.4855 0.9305
Te 0.8715 0.3131 0.5956
Mo 0.3420 0.6580 0.7500
Mo 0.6580 0.3420 0.2500
O 0.0018 0.6871 0.2475
O 0.1333 0.8236 0.8568
O 0.1763 0.3130 0.0748
O 0.1764 0.8667 0.6432
O 0.2913 0.4891 0.6660
O 0.3130 0.1763 0.5748
O 0.3129 0.9982 0.2525
O 0.3303 0.3568 0.4170
O 0.3568 0.3303 0.9170
O 0.3623 0.6181 0.3657
O 0.3819 0.6377 0.1343
O 0.4891 0.2913 0.1660
O 0.5109 0.7087 0.8340
O 0.6181 0.3623 0.8657
O 0.6377 0.3819 0.6343
O 0.6432 0.6697 0.0830
O 0.6697 0.6432 0.5830
O 0.6871 0.0018 0.7475
O 0.6870 0.8237 0.4252
O 0.7087 0.5109 0.3340
O 0.8236 0.1333 0.3568
O 0.8237 0.6870 0.9252
O 0.8667 0.1764 0.1432
O 0.9982 0.3129 0.7525

Calculated values
MP2020-corrected energy = -6.07 eV/atom

[11]
Entry from the Materials Project database: crystalline Mn2InO5 at its relaxed geometry (PBE+U).

Cell: 7.4504 8.3466 5.7091 Å, 90.00 90.00 90.00°
Fractional positions:
Mn 0.0000 0.0000 0.2468
Mn 0.0000 0.0000 0.7532
Mn 0.0972 0.3469 0.0000
Mn 0.4028 0.8469 0.0000
Mn 0.5000 0.5000 0.2468
Mn 0.5000 0.5000 0.7532
Mn 0.5972 0.1531 0.0000
Mn 0.9028 0.6531 0.0000
In 0.1453 0.6621 0.5000
In 0.3547 0.1621 0.5000
In 0.6453 0.8379 0.5000
In 0.8547 0.3379 0.5000
O 0.0000 0.5000 0.2374
O 0.0000 0.5000 0.7626
O 0.1239 0.2006 0.2586
O 0.1239 0.2006 0.7414
O 0.1412 0.9161 0.0000
O 0.1551 0.9299 0.5000
O 0.3449 0.4299 0.5000
O 0.3588 0.4161 0.0000
O 0.3761 0.7006 0.2586
O 0.3761 0.7006 0.7414
O 0.5000 0.0000 0.2374
O 0.5000 0.0000 0.7626
O 0.6239 0.2994 0.2586
O 0.6239 0.2994 0.7414
O 0.6412 0.5839 0.0000
O 0.6551 0.5701 0.5000
O 0.8449 0.0701 0.5000
O 0.8588 0.0839 0.0000
O 0.8761 0.7994 0.2586
O 0.8761 0.7994 0.7414

Calculated values
offset from the most stable computed form = 0.0000 eV/atom
MP2020-corrected energy = -7.64 eV/atom

[12]
Entry from the Materials Project database: crystalline MgV2O4 at its relaxed geometry (PBE+U).

Cell: 7.4996 7.4996 9.3567 Å, 127.45 127.45 23.26°
Fractional positions:
Mg 0.1815 0.1815 0.1745
Mg 0.8185 0.8185 0.8255
V 0.1372 0.1372 0.8178
V 0.3608 0.3608 0.5374
V 0.6392 0.6392 0.4626
V 0.8628 0.8628 0.1822
O 0.0311 0.0311 0.3188
O 0.2812 0.2812 0.6440
O 0.3277 0.3277 0.9883
O 0.3626 0.3626 0.3194
O 0.6374 0.6374 0.6806
O 0.6723 0.6723 0.0117
O 0.7188 0.7188 0.3560
O 0.9689 0.9689 0.6812

Calculated values
offset from the most stable computed form = 0.1357 eV/atom
MP2020-corrected energy = -8.22 eV/atom